LiMn2B2O6 | GGA+U | relaxed

Properties
Uncorrected energy in eV/atom: -7.50
E_form in eV/atom: -2.43
Crystal system: triclinic

Cell: 5.791 9.161 12.452 Å, 104.79 88.06 103.96°
Fractional coordinates of all 55 atoms:
B 0.775 0.713 0.517
B 0.564 0.109 0.306
B 0.640 0.485 0.896
B 0.432 0.900 0.690
B 0.162 0.907 0.904
B 0.963 0.328 0.711
B 0.833 0.082 0.086
B 0.227 0.278 0.484
B 0.039 0.685 0.291
B 0.372 0.511 0.110
Mn 0.247 0.622 0.497
Mn 0.442 0.256 0.696
Mn 0.962 0.994 0.715
Mn 0.561 0.767 0.314
Mn 0.354 0.167 0.109
Mn 0.748 0.367 0.506
Mn 0.630 0.823 0.886
Mn 0.034 0.028 0.290
Mn 0.167 0.562 0.913
Mn 0.842 0.428 0.095
O 0.125 0.380 0.447
O 0.357 0.045 0.237
O 0.762 0.256 0.639
O 0.577 0.327 0.849
O 0.853 0.867 0.556
O 0.575 0.647 0.445
O 0.205 0.749 0.381
O 0.962 0.840 0.828
O 0.355 0.742 0.650
O 0.978 0.527 0.249
O 0.693 0.005 0.323
O 0.331 0.003 0.656
O 0.451 0.666 0.151
O 0.166 0.446 0.041
O 0.902 0.609 0.543
O 0.726 0.181 0.049
O 0.643 0.264 0.345
O 0.398 0.341 0.570
O 0.816 0.549 0.981
O 0.526 0.585 0.867
O 0.777 0.925 0.042
O 0.288 0.801 0.921
O 0.931 0.783 0.253
O 0.998 0.149 0.176
O 0.160 0.120 0.443
O 0.499 0.406 0.126
O 0.606 0.959 0.778
O 0.237 0.061 0.946
O 0.101 0.231 0.732
O 0.020 0.482 0.755
Li 0.169 0.944 0.500
Li 0.558 0.144 0.899
Li 0.963 0.343 0.297
Li 0.765 0.746 0.098
Li 0.036 0.662 0.708